LiTb2P2O8: relaxed, PBE.

Its volume is 12.32 Å³/atom. The energy relative to the lowest polymorph listed for this composition is 0.014 eV/atom. Its energy of formation from the pure elements is -3.077 eV per atom.

It has space group C2 (No. 5), with a = 6.132 Å, b = 10.395 Å, c = 5.794 Å, α = 90.00°, β = 119.85° and γ = 90.00°. The distinct sites, in fractional coordinates, are Li at (0.000, 0.000, 0.000), Tb at (0.000, 0.286, 0.000), Tb at (0.000, 0.519, 0.500), P at (0.000, 0.016, 0.500), P at (0.000, 0.759, 0.000), O at (0.063, 0.099, 0.315), O at (0.080, 0.681, 0.827), O at (0.232, 0.850, 0.168) and O at (0.240, 0.933, 0.663).

---

LaCo12B6: relaxed, PBE.

Its volume is 10.14 Å³/atom. Its energy of formation from the pure elements is -0.348 eV per atom.

It has space group R-3m (No. 166, hexagonal axes), with a = 9.4583 Å, b = 9.4583 Å, c = 7.4581 Å, α = 90.00°, β = 90.00° and γ = 120.00°. The distinct sites, in fractional coordinates, are La at (0.0000, 0.0000, 0.0000), Co at (0.0000, 0.3660, 0.5000), Co at (0.0908, 0.1816, 0.3688) and B at (0.0409, 0.5205, 0.2901).

---

Si: relaxed, PBE.

Its volume is 15.06 Å³/atom. The energy relative to the lowest polymorph listed for this composition is 0.305 eV/atom. Its energy of formation from the pure elements is 0.305 eV per atom.

It has space group P6/mmm (No. 191), with a = 2.6495 Å, b = 2.6495 Å, c = 2.4769 Å, α = 90.00°, β = 90.00° and γ = 120.00°. The distinct sites, in fractional coordinates, are Si at (0.0000, 0.0000, 0.0000).

---

Cs3H12N4F3: relaxed, PBE.

Its volume is 13.10 Å³/atom. Its energy of formation from the pure elements is -1.021 eV per atom.

It has space group I-43d (No. 220), with a = 10.486 Å, b = 10.486 Å, c = 10.486 Å, α = 90.00°, β = 90.00° and γ = 90.00°. The distinct sites, in fractional coordinates, are Cs at (0.000, 0.250, 0.875), H at (0.020, 0.435, 0.647), N at (0.099, 0.401, 0.599) and F at (0.000, 0.250, 0.375).

---

- What is the energy of formation from the pure elements in the third record?
  0.305 eV per atom

---

Please write out number 3 again, unchanged.
Si: relaxed, PBE.

Its volume is 15.06 Å³/atom. The energy relative to the lowest polymorph listed for this composition is 0.305 eV/atom. Its energy of formation from the pure elements is 0.305 eV per atom.

It has space group P6/mmm (No. 191), with a = 2.6495 Å, b = 2.6495 Å, c = 2.4769 Å, α = 90.00°, β = 90.00° and γ = 120.00°. The distinct sites, in fractional coordinates, are Si at (0.0000, 0.0000, 0.0000).